The following is a DFT calculation (PBE with a Hubbard U) of an optimized crystal structure of Mn5NbP6O24. Values from VASP.

Total energy in eV for the cell shown: -273.63
Symmetry: R3, No. 146

Structure (Quantum ESPRESSO input):
```
&SYSTEM
  ibrav = 0, nat = 36, ntyp = 4
/
ATOMIC_SPECIES
Mn 54.94 Mn.upf
Nb 92.91 Nb.upf
P 30.97 P.upf
O 16.00 O.upf
CELL_PARAMETERS angstrom
4.358 2.516 7.129
-4.358 2.516 7.129
0.000 -5.032 7.129
ATOMIC_POSITIONS crystal
Mn 0.000 0.000 0.000
Mn 0.142 0.142 0.142
Mn 0.502 0.502 0.502
Mn 0.646 0.646 0.646
Mn 0.791 0.791 0.791
Nb 0.291 0.291 0.291
P 0.101 0.399 0.696
P 0.190 0.891 0.607
P 0.399 0.696 0.101
P 0.607 0.190 0.891
P 0.696 0.101 0.399
P 0.891 0.607 0.190
O 0.036 0.839 0.634
O 0.058 0.411 0.212
O 0.087 0.232 0.884
O 0.154 0.333 0.531
O 0.157 0.952 0.761
O 0.212 0.058 0.411
O 0.232 0.884 0.087
O 0.258 0.456 0.658
O 0.333 0.531 0.154
O 0.387 0.734 0.586
O 0.411 0.212 0.058
O 0.456 0.658 0.258
O 0.531 0.154 0.333
O 0.555 0.701 0.910
O 0.586 0.387 0.734
O 0.634 0.036 0.839
O 0.658 0.258 0.456
O 0.701 0.910 0.555
O 0.734 0.586 0.387
O 0.761 0.157 0.952
O 0.839 0.634 0.036
O 0.884 0.087 0.232
O 0.910 0.555 0.701
O 0.952 0.761 0.157
```

---

The following is a DFT calculation (PBE with a Hubbard U) of an optimized crystal structure of MnInO3. Values from VASP.

Total energy in eV for the cell shown: -197.90
Symmetry: P6_3cm, No. 185

Structure (Quantum ESPRESSO input):
```
&SYSTEM
  ibrav = 0, nat = 30, ntyp = 3
/
ATOMIC_SPECIES
Mn 54.94 Mn.upf
In 114.82 In.upf
O 16.00 O.upf
CELL_PARAMETERS angstrom
6.009 0.000 0.000
-3.004 5.204 0.000
0.000 0.000 11.639
ATOMIC_POSITIONS crystal
Mn 0.000 0.335 0.000
Mn 0.000 0.665 0.500
Mn 0.335 0.000 0.000
Mn 0.335 0.335 0.500
Mn 0.665 0.000 0.500
Mn 0.665 0.665 0.000
In 0.000 0.000 0.228
In 0.000 0.000 0.728
In 0.333 0.667 0.262
In 0.333 0.667 0.762
In 0.667 0.333 0.262
In 0.667 0.333 0.762
O 0.000 0.000 0.026
O 0.000 0.000 0.526
O 0.000 0.311 0.834
O 0.000 0.357 0.165
O 0.000 0.643 0.665
O 0.000 0.689 0.334
O 0.311 0.000 0.834
O 0.311 0.311 0.334
O 0.333 0.667 0.484
O 0.333 0.667 0.984
O 0.357 0.000 0.165
O 0.357 0.357 0.665
O 0.643 0.000 0.665
O 0.643 0.643 0.165
O 0.667 0.333 0.484
O 0.667 0.333 0.984
O 0.689 0.000 0.334
O 0.689 0.689 0.834
```

---

The following is a DFT calculation (PBE with a Hubbard U) of an optimized crystal structure of V4Ni2O9. Values from VASP.

Total energy in eV for the cell shown: -212.79
Symmetry: Cc, No. 9

Structure (Quantum ESPRESSO input):
```
&SYSTEM
  ibrav = 0, nat = 30, ntyp = 3
/
ATOMIC_SPECIES
V 50.94 V.upf
Ni 58.69 Ni.upf
O 16.00 O.upf
CELL_PARAMETERS angstrom
4.865 -2.544 0.000
4.865 2.544 0.000
-0.937 0.000 12.571
ATOMIC_POSITIONS crystal
V 0.002 0.998 0.500
V 0.066 0.070 0.234
V 0.070 0.066 0.734
V 0.393 0.402 0.395
V 0.402 0.393 0.895
V 0.730 0.734 0.069
V 0.734 0.730 0.569
V 0.998 0.002 0.000
Ni 0.335 0.339 0.666
Ni 0.339 0.335 0.166
Ni 0.665 0.672 0.334
Ni 0.672 0.665 0.834
O 0.046 0.776 0.134
O 0.114 0.394 0.312
O 0.169 0.557 0.528
O 0.221 0.833 0.367
O 0.315 0.974 0.600
O 0.318 0.648 0.772
O 0.394 0.114 0.812
O 0.446 0.725 0.978
O 0.501 0.888 0.194
O 0.557 0.169 0.028
O 0.648 0.318 0.272
O 0.651 0.985 0.435
O 0.725 0.446 0.478
O 0.776 0.046 0.634
O 0.833 0.221 0.867
O 0.888 0.501 0.694
O 0.974 0.315 0.100
O 0.985 0.651 0.935
```

---

The following is a DFT calculation (PBE with a Hubbard U) of an optimized crystal structure of MgMn12O14F10. Values from VASP.

Total energy in eV for the cell shown: -248.19
Symmetry: P1, No. 1

Structure (Quantum ESPRESSO input):
```
&SYSTEM
  ibrav = 0, nat = 37, ntyp = 4
/
ATOMIC_SPECIES
Mg 24.30 Mg.upf
Mn 54.94 Mn.upf
O 16.00 O.upf
F 19.00 F.upf
CELL_PARAMETERS angstrom
4.813 0.000 0.000
-0.105 5.715 0.000
-0.049 -0.255 15.315
ATOMIC_POSITIONS crystal
Mg 0.000 0.000 0.000
Mn 0.464 0.035 0.330
Mn 0.471 0.030 0.656
Mn 0.478 0.732 0.497
Mn 0.486 0.725 0.827
Mn 0.486 0.740 0.163
Mn 0.510 0.025 0.004
Mn 0.943 0.530 0.008
Mn 0.953 0.574 0.668
Mn 0.960 0.224 0.183
Mn 0.960 0.256 0.826
Mn 0.963 0.230 0.513
Mn 0.966 0.537 0.348
O 0.252 0.005 0.556
O 0.252 0.785 0.722
O 0.260 0.778 0.051
O 0.261 0.761 0.390
O 0.267 0.992 0.221
O 0.689 0.794 0.604
O 0.715 0.783 0.941
O 0.742 0.269 0.289
O 0.748 0.274 0.617
O 0.753 0.011 0.109
O 0.757 0.502 0.116
O 0.760 0.498 0.455
O 0.762 0.252 0.950
O 0.766 0.528 0.776
F 0.198 0.485 0.235
F 0.200 0.513 0.899
F 0.203 0.517 0.569
F 0.207 0.261 0.407
F 0.229 0.257 0.056
F 0.234 0.012 0.891
F 0.238 0.268 0.722
F 0.694 0.018 0.767
F 0.713 0.001 0.434
F 0.718 0.760 0.272
```